# Ce2Zn3Ge6

Ce2Zn3Ge6 after structural relaxation (r2SCAN, the Materials Project database).

Lattice parameters (Å, degrees): 12.626 12.626 5.955 90.00 90.00 152.73
Atoms (fractional coordinates):
Ce (0.106, 0.894, 0.750)
Ce (0.393, 0.607, 0.750)
Ce (0.607, 0.393, 0.250)
Ce (0.894, 0.106, 0.250)
Zn (0.160, 0.840, 0.250)
Zn (0.261, 0.261, 0.000)
Zn (0.261, 0.261, 0.500)
Zn (0.739, 0.739, 0.000)
Zn (0.739, 0.739, 0.500)
Zn (0.840, 0.160, 0.750)
Ge (0.059, 0.941, 0.250)
Ge (0.084, 0.487, 0.035)
Ge (0.084, 0.487, 0.465)
Ge (0.433, 0.567, 0.250)
Ge (0.487, 0.084, 0.535)
Ge (0.487, 0.084, 0.965)
Ge (0.513, 0.916, 0.035)
Ge (0.513, 0.916, 0.465)
Ge (0.567, 0.433, 0.750)
Ge (0.916, 0.513, 0.535)
Ge (0.916, 0.513, 0.965)
Ge (0.941, 0.059, 0.750)

E_form ... -0.434 eV per atom
SG ... No. 63

=====

# CeZnGe

CeZnGe after structural relaxation (r2SCAN, the Materials Project database).

Lattice parameters (Å, degrees): 4.277 4.277 16.799 90.00 90.00 120.00
Atoms (fractional coordinates):
Ce (0.000, 0.000, 0.000)
Ce (0.000, 0.000, 0.250)
Ce (0.000, 0.000, 0.500)
Ce (0.000, 0.000, 0.750)
Zn (0.333, 0.667, 0.143)
Zn (0.333, 0.667, 0.357)
Zn (0.667, 0.333, 0.643)
Zn (0.667, 0.333, 0.857)
Ge (0.333, 0.667, 0.617)
Ge (0.333, 0.667, 0.883)
Ge (0.667, 0.333, 0.117)
Ge (0.667, 0.333, 0.383)

E_form ... -0.733 eV per atom
SG ... No. 194

=====

# CeH2

CeH2 after structural relaxation (r2SCAN, the Materials Project database).

Lattice parameters (Å, degrees): 5.507 5.507 5.507 90.00 90.00 90.00
Atoms (fractional coordinates):
Ce (0.000, 0.000, 0.000)
Ce (0.000, 0.500, 0.500)
Ce (0.500, 0.000, 0.500)
Ce (0.500, 0.500, 0.000)
H (0.250, 0.250, 0.250)
H (0.250, 0.250, 0.750)
H (0.250, 0.750, 0.250)
H (0.250, 0.750, 0.750)
H (0.750, 0.250, 0.250)
H (0.750, 0.250, 0.750)
H (0.750, 0.750, 0.250)
H (0.750, 0.750, 0.750)

E_form ... -0.588 eV per atom
SG ... No. 225

=====

# CeHfMg14O16

CeHfMg14O16 after structural relaxation (r2SCAN, the Materials Project database).

Lattice parameters (Å, degrees): 4.372 8.720 8.783 90.00 90.00 90.00
Atoms (fractional coordinates):
Ce (0.000, 0.000, 0.000)
Hf (0.000, 0.000, 0.500)
Mg (0.000, 0.261, 0.255)
Mg (0.000, 0.261, 0.745)
Mg (0.000, 0.500, 0.000)
Mg (0.000, 0.500, 0.500)
Mg (0.000, 0.739, 0.255)
Mg (0.000, 0.739, 0.745)
Mg (0.500, 0.000, 0.259)
Mg (0.500, 0.000, 0.741)
Mg (0.500, 0.260, 0.500)
Mg (0.500, 0.267, 0.000)
Mg (0.500, 0.500, 0.253)
Mg (0.500, 0.500, 0.747)
Mg (0.500, 0.733, 0.000)
Mg (0.500, 0.740, 0.500)
O (0.000, 0.000, 0.260)
O (0.000, 0.000, 0.740)
O (0.000, 0.265, 0.500)
O (0.000, 0.272, 0.000)
O (0.000, 0.500, 0.253)
O (0.000, 0.500, 0.747)
O (0.000, 0.728, 0.000)
O (0.000, 0.735, 0.500)
O (0.500, 0.000, 0.000)
O (0.500, 0.000, 0.500)
O (0.500, 0.252, 0.250)
O (0.500, 0.252, 0.750)
O (0.500, 0.500, 0.000)
O (0.500, 0.500, 0.500)
O (0.500, 0.748, 0.250)
O (0.500, 0.748, 0.750)

E_form ... -2.720 eV per atom
SG ... No. 47

=====

# Ce2HfS5

Ce2HfS5 after structural relaxation (r2SCAN, the Materials Project database).

Lattice parameters (Å, degrees): 11.460 8.102 7.379 90.00 90.00 90.00
Atoms (fractional coordinates):
Ce (0.172, 0.001, 0.055)
Ce (0.172, 0.499, 0.055)
Ce (0.328, 0.501, 0.555)
Ce (0.328, 0.999, 0.555)
Ce (0.672, 0.001, 0.445)
Ce (0.672, 0.499, 0.445)
Ce (0.828, 0.501, 0.945)
Ce (0.828, 0.999, 0.945)
Hf (0.008, 0.250, 0.571)
Hf (0.492, 0.750, 0.071)
Hf (0.508, 0.250, 0.929)
Hf (0.992, 0.750, 0.429)
S (0.005, 0.250, 0.941)
S (0.075, 0.534, 0.675)
S (0.075, 0.966, 0.675)
S (0.190, 0.250, 0.359)
S (0.207, 0.750, 0.338)
S (0.293, 0.250, 0.838)
S (0.310, 0.750, 0.859)
S (0.425, 0.034, 0.175)
S (0.425, 0.466, 0.175)
S (0.495, 0.750, 0.441)
S (0.505, 0.250, 0.559)
S (0.575, 0.534, 0.825)
S (0.575, 0.966, 0.825)
S (0.690, 0.250, 0.141)
S (0.707, 0.750, 0.162)
S (0.793, 0.250, 0.662)
S (0.810, 0.750, 0.641)
S (0.925, 0.034, 0.325)
S (0.925, 0.466, 0.325)
S (0.995, 0.750, 0.059)

E_form ... -2.208 eV per atom
SG ... No. 62

=====

# Ce3HfSb5

Ce3HfSb5 after structural relaxation (r2SCAN, the Materials Project database).

Lattice parameters (Å, degrees): 9.544 9.544 6.340 90.00 90.00 120.00
Atoms (fractional coordinates):
Ce (0.000, 0.384, 0.250)
Ce (0.000, 0.616, 0.750)
Ce (0.384, 0.000, 0.250)
Ce (0.384, 0.384, 0.750)
Ce (0.616, 0.000, 0.750)
Ce (0.616, 0.616, 0.250)
Hf (0.000, 0.000, 0.000)
Hf (0.000, 0.000, 0.500)
Sb (0.000, 0.259, 0.750)
Sb (0.000, 0.741, 0.250)
Sb (0.259, 0.000, 0.750)
Sb (0.259, 0.259, 0.250)
Sb (0.333, 0.667, 0.000)
Sb (0.333, 0.667, 0.500)
Sb (0.667, 0.333, 0.000)
Sb (0.667, 0.333, 0.500)
Sb (0.741, 0.000, 0.250)
Sb (0.741, 0.741, 0.750)

E_form ... -1.112 eV per atom
SG ... No. 193

=====

# Ce2HfSe5

Ce2HfSe5 after structural relaxation (r2SCAN, the Materials Project database).

Lattice parameters (Å, degrees): 12.068 8.418 7.734 90.00 90.00 90.00
Atoms (fractional coordinates):
Ce (0.174, 0.001, 0.045)
Ce (0.174, 0.499, 0.045)
Ce (0.326, 0.501, 0.545)
Ce (0.326, 0.999, 0.545)
Ce (0.674, 0.001, 0.455)
Ce (0.674, 0.499, 0.455)
Ce (0.826, 0.501, 0.955)
Ce (0.826, 0.999, 0.955)
Hf (0.008, 0.750, 0.574)
Hf (0.492, 0.250, 0.074)
Hf (0.508, 0.750, 0.926)
Hf (0.992, 0.250, 0.426)
Se (0.006, 0.750, 0.943)
Se (0.079, 0.036, 0.672)
Se (0.079, 0.464, 0.672)
Se (0.187, 0.750, 0.353)
Se (0.206, 0.250, 0.331)
Se (0.294, 0.750, 0.831)
Se (0.313, 0.250, 0.853)
Se (0.421, 0.536, 0.172)
Se (0.421, 0.964, 0.172)
Se (0.494, 0.250, 0.443)
Se (0.506, 0.750, 0.557)
Se (0.579, 0.036, 0.828)
Se (0.579, 0.464, 0.828)
Se (0.687, 0.750, 0.147)
Se (0.706, 0.250, 0.169)
Se (0.794, 0.750, 0.669)
Se (0.813, 0.250, 0.647)
Se (0.921, 0.536, 0.328)
Se (0.921, 0.964, 0.328)
Se (0.994, 0.250, 0.057)

E_form ... -1.986 eV per atom
SG ... No. 62

=====

# CeHg

CeHg after structural relaxation (r2SCAN, the Materials Project database).

Lattice parameters (Å, degrees): 3.842 3.842 3.842 90.00 90.00 90.00
Atoms (fractional coordinates):
Ce (0.000, 0.000, 0.000)
Hg (0.500, 0.500, 0.500)

E_form ... -0.468 eV per atom
SG ... No. 221

=====

# CeHg3

CeHg3 after structural relaxation (r2SCAN, the Materials Project database).

Lattice parameters (Å, degrees): 5.032 11.859 6.836 90.00 90.00 90.00
Atoms (fractional coordinates):
Ce (0.250, 0.167, 0.000)
Ce (0.250, 0.667, 0.500)
Ce (0.750, 0.333, 0.500)
Ce (0.750, 0.833, 0.000)
Hg (0.250, 0.162, 0.501)
Hg (0.250, 0.419, 0.243)
Hg (0.250, 0.419, 0.758)
Hg (0.250, 0.662, 0.001)
Hg (0.250, 0.919, 0.258)
Hg (0.250, 0.919, 0.743)
Hg (0.750, 0.081, 0.258)
Hg (0.750, 0.081, 0.743)
Hg (0.750, 0.338, 0.001)
Hg (0.750, 0.581, 0.243)
Hg (0.750, 0.581, 0.758)
Hg (0.750, 0.838, 0.501)

E_form ... -0.432 eV per atom
SG ... No. 40

=====

# Ce3Hg

Ce3Hg after structural relaxation (r2SCAN, the Materials Project database).

Lattice parameters (Å, degrees): 4.765 4.765 9.785 90.00 90.00 90.00
Atoms (fractional coordinates):
Ce (0.000, 0.000, 0.000)
Ce (0.000, 0.500, 0.250)
Ce (0.000, 0.500, 0.750)
Ce (0.500, 0.000, 0.250)
Ce (0.500, 0.000, 0.750)
Ce (0.500, 0.500, 0.500)
Hg (0.000, 0.000, 0.500)
Hg (0.500, 0.500, 0.000)

E_form ... -0.184 eV per atom
SG ... No. 139

=====

# LiCeHg2

LiCeHg2 after structural relaxation (r2SCAN, the Materials Project database).

Lattice parameters (Å, degrees): 7.276 7.276 7.276 90.00 90.00 90.00
Atoms (fractional coordinates):
Li (0.000, 0.000, 0.000)
Li (0.000, 0.500, 0.500)
Li (0.500, 0.000, 0.500)
Li (0.500, 0.500, 0.000)
Ce (0.000, 0.000, 0.500)
Ce (0.000, 0.500, 0.000)
Ce (0.500, 0.000, 0.000)
Ce (0.500, 0.500, 0.500)
Hg (0.250, 0.250, 0.250)
Hg (0.250, 0.250, 0.750)
Hg (0.250, 0.750, 0.250)
Hg (0.250, 0.750, 0.750)
Hg (0.750, 0.250, 0.250)
Hg (0.750, 0.250, 0.750)
Hg (0.750, 0.750, 0.250)
Hg (0.750, 0.750, 0.750)

E_form ... -0.415 eV per atom
SG ... No. 225

=====

# NaCeHg2

NaCeHg2 after structural relaxation (r2SCAN, the Materials Project database).

Lattice parameters (Å, degrees): 7.461 7.461 7.461 90.00 90.00 90.00
Atoms (fractional coordinates):
Na (0.000, 0.000, 0.000)
Na (0.000, 0.500, 0.500)
Na (0.500, 0.000, 0.500)
Na (0.500, 0.500, 0.000)
Ce (0.000, 0.000, 0.500)
Ce (0.000, 0.500, 0.000)
Ce (0.500, 0.000, 0.000)
Ce (0.500, 0.500, 0.500)
Hg (0.250, 0.250, 0.250)
Hg (0.250, 0.250, 0.750)
Hg (0.250, 0.750, 0.250)
Hg (0.250, 0.750, 0.750)
Hg (0.750, 0.250, 0.250)
Hg (0.750, 0.250, 0.750)
Hg (0.750, 0.750, 0.250)
Hg (0.750, 0.750, 0.750)

E_form ... -0.407 eV per atom
SG ... No. 225

=====

# CePrHg2

CePrHg2 after structural relaxation (r2SCAN, the Materials Project database).

Lattice parameters (Å, degrees): 7.685 7.685 7.685 90.00 90.00 90.00
Atoms (fractional coordinates):
Ce (0.000, 0.000, 0.000)
Ce (0.000, 0.500, 0.500)
Ce (0.500, 0.000, 0.500)
Ce (0.500, 0.500, 0.000)
Pr (0.000, 0.000, 0.500)
Pr (0.000, 0.500, 0.000)
Pr (0.500, 0.000, 0.000)
Pr (0.500, 0.500, 0.500)
Hg (0.250, 0.250, 0.250)
Hg (0.250, 0.250, 0.750)
Hg (0.250, 0.750, 0.250)
Hg (0.250, 0.750, 0.750)
Hg (0.750, 0.250, 0.250)
Hg (0.750, 0.250, 0.750)
Hg (0.750, 0.750, 0.250)
Hg (0.750, 0.750, 0.750)

E_form ... -0.508 eV per atom
SG ... No. 225

=====

# YbCeHg2

YbCeHg2 after structural relaxation (r2SCAN, the Materials Project database).

Lattice parameters (Å, degrees): 7.492 7.492 7.492 90.00 90.00 90.00
Atoms (fractional coordinates):
Yb (0.000, 0.000, 0.000)
Yb (0.000, 0.500, 0.500)
Yb (0.500, 0.000, 0.500)
Yb (0.500, 0.500, 0.000)
Ce (0.000, 0.000, 0.500)
Ce (0.000, 0.500, 0.000)
Ce (0.500, 0.000, 0.000)
Ce (0.500, 0.500, 0.500)
Hg (0.250, 0.250, 0.250)
Hg (0.250, 0.250, 0.750)
Hg (0.250, 0.750, 0.250)
Hg (0.250, 0.750, 0.750)
Hg (0.750, 0.250, 0.250)
Hg (0.750, 0.250, 0.750)
Hg (0.750, 0.750, 0.250)
Hg (0.750, 0.750, 0.750)

E_form ... -0.507 eV per atom
SG ... No. 225

=====

# CeHoIn2

CeHoIn2 after structural relaxation (r2SCAN, the Materials Project database).

Lattice parameters (Å, degrees): 7.604 7.604 7.604 90.00 90.00 90.00
Atoms (fractional coordinates):
Ce (0.000, 0.000, 0.000)
Ce (0.000, 0.500, 0.500)
Ce (0.500, 0.000, 0.500)
Ce (0.500, 0.500, 0.000)
Ho (0.000, 0.000, 0.500)
Ho (0.000, 0.500, 0.000)
Ho (0.500, 0.000, 0.000)
Ho (0.500, 0.500, 0.500)
In (0.250, 0.250, 0.250)
In (0.250, 0.250, 0.750)
In (0.250, 0.750, 0.250)
In (0.250, 0.750, 0.750)
In (0.750, 0.250, 0.250)
In (0.750, 0.250, 0.750)
In (0.750, 0.750, 0.250)
In (0.750, 0.750, 0.750)

E_form ... -0.578 eV per atom
SG ... No. 225

=====

# CeHo3S6

CeHo3S6 after structural relaxation (r2SCAN, the Materials Project database).

Lattice parameters (Å, degrees): 11.041 3.967 11.307 90.00 108.62 90.00
Atoms (fractional coordinates):
Ce (0.050, 0.250, 0.194)
Ce (0.950, 0.750, 0.806)
Ho (0.161, 0.250, 0.587)
Ho (0.321, 0.750, 0.999)
Ho (0.442, 0.250, 0.333)
Ho (0.558, 0.750, 0.667)
Ho (0.679, 0.250, 0.001)
Ho (0.839, 0.750, 0.413)
S (0.082, 0.750, 0.407)
S (0.120, 0.250, 0.964)
S (0.196, 0.750, 0.750)
S (0.267, 0.750, 0.229)
S (0.394, 0.250, 0.558)
S (0.479, 0.250, 0.112)
S (0.521, 0.750, 0.888)
S (0.606, 0.750, 0.442)
S (0.733, 0.250, 0.771)
S (0.804, 0.250, 0.250)
S (0.880, 0.750, 0.036)
S (0.918, 0.250, 0.593)

E_form ... -2.397 eV per atom
SG ... No. 11

=====

# CeI3

CeI3 after structural relaxation (r2SCAN, the Materials Project database).

Lattice parameters (Å, degrees): 4.372 14.830 10.134 90.00 90.00 90.00
Atoms (fractional coordinates):
Ce (0.000, 0.241, 0.250)
Ce (0.000, 0.759, 0.750)
Ce (0.500, 0.259, 0.750)
Ce (0.500, 0.741, 0.250)
I (0.000, 0.150, 0.567)
I (0.000, 0.150, 0.933)
I (0.000, 0.413, 0.750)
I (0.000, 0.587, 0.250)
I (0.000, 0.850, 0.067)
I (0.000, 0.850, 0.433)
I (0.500, 0.087, 0.250)
I (0.500, 0.350, 0.067)
I (0.500, 0.350, 0.433)
I (0.500, 0.650, 0.567)
I (0.500, 0.650, 0.933)
I (0.500, 0.913, 0.750)

E_form ... -1.653 eV per atom
SG ... No. 63

=====

# CeI3

CeI3 after structural relaxation (r2SCAN, the Materials Project database).

Lattice parameters (Å, degrees): 4.394 10.131 7.608 90.00 106.70 90.00
Atoms (fractional coordinates):
Ce (0.235, 0.250, 0.484)
Ce (0.765, 0.750, 0.516)
I (0.149, 0.567, 0.297)
I (0.149, 0.933, 0.297)
I (0.417, 0.750, 0.829)
I (0.583, 0.250, 0.171)
I (0.851, 0.067, 0.703)
I (0.851, 0.433, 0.703)

E_form ... -1.689 eV per atom
SG ... No. 11

=====

# CeI3

CeI3 after structural relaxation (r2SCAN, the Materials Project database).

Lattice parameters (Å, degrees): 11.031 11.031 4.161 90.00 90.00 120.00
Atoms (fractional coordinates):
Ce (0.333, 0.667, 0.250)
Ce (0.667, 0.333, 0.750)
I (0.208, 0.417, 0.750)
I (0.208, 0.792, 0.750)
I (0.417, 0.208, 0.250)
I (0.583, 0.792, 0.750)
I (0.792, 0.208, 0.250)
I (0.792, 0.583, 0.250)

E_form ... -1.577 eV per atom
SG ... No. 194